(1)
Entry from the Materials Project: an optimized crystal structure of NaMg2Fe3P4H18O26 (GGA+U).

Structure (POSCAR):
```
NaMg2Fe3P4H18O26
1.0
9.542 0.000 0.000
0.000 13.265 0.000
-7.169 0.000 10.428
Na Mg Fe P H O
2 4 6 8 36 52
Direct
0.000 0.137 0.250
0.000 0.863 0.750
0.500 0.000 0.000
0.500 0.000 0.500
0.500 0.480 0.250
0.500 0.520 0.750
0.000 0.000 0.000
0.000 0.000 0.500
0.000 0.405 0.250
0.000 0.500 0.000
0.000 0.500 0.500
0.000 0.595 0.750
0.056 0.288 0.632
0.056 0.712 0.132
0.287 0.324 0.549
0.287 0.676 0.049
0.713 0.324 0.951
0.713 0.676 0.451
0.944 0.288 0.868
0.944 0.712 0.368
0.167 0.346 0.159
0.167 0.654 0.659
0.169 0.127 0.961
0.169 0.873 0.461
0.173 0.247 0.836
0.173 0.753 0.336
0.193 0.061 0.823
0.193 0.939 0.323
0.239 0.096 0.190
0.239 0.904 0.690
0.390 0.374 0.375
0.390 0.626 0.875
0.422 0.254 0.608
0.422 0.746 0.108
0.431 0.102 0.806
0.431 0.898 0.306
0.469 0.297 0.324
0.469 0.703 0.824
0.531 0.297 0.176
0.531 0.703 0.676
0.569 0.102 0.694
0.569 0.898 0.194
0.578 0.254 0.892
0.578 0.746 0.392
0.610 0.374 0.125
0.610 0.626 0.625
0.761 0.096 0.310
0.761 0.904 0.810
0.807 0.061 0.677
0.807 0.939 0.177
0.827 0.247 0.664
0.827 0.753 0.164
0.831 0.127 0.539
0.831 0.873 0.039
0.833 0.346 0.341
0.833 0.654 0.841
0.034 0.400 0.639
0.034 0.600 0.139
0.105 0.407 0.152
0.105 0.593 0.652
0.112 0.231 0.934
0.112 0.769 0.434
0.126 0.071 0.161
0.126 0.929 0.661
0.142 0.265 0.554
0.142 0.735 0.054
0.194 0.239 0.766
0.194 0.761 0.266
0.207 0.052 0.987
0.207 0.948 0.487
0.215 0.005 0.883
0.215 0.995 0.383
0.222 0.333 0.408
0.222 0.667 0.908
0.326 0.425 0.619
0.326 0.575 0.119
0.466 0.188 0.284
0.466 0.373 0.346
0.466 0.627 0.846
0.466 0.812 0.784
0.495 0.104 0.601
0.495 0.896 0.101
0.505 0.104 0.899
0.505 0.896 0.399
0.534 0.188 0.216
0.534 0.373 0.154
0.534 0.627 0.654
0.534 0.812 0.716
0.674 0.425 0.881
0.674 0.575 0.381
0.778 0.333 0.092
0.778 0.667 0.592
0.785 0.005 0.617
0.785 0.995 0.117
0.793 0.052 0.513
0.793 0.948 0.013
0.806 0.239 0.734
0.806 0.761 0.234
0.858 0.265 0.946
0.858 0.735 0.446
0.874 0.071 0.339
0.874 0.929 0.839
0.888 0.231 0.566
0.888 0.769 0.066
0.895 0.407 0.348
0.895 0.593 0.848
0.966 0.400 0.861
0.966 0.600 0.361
```

Results
For the uncorrected energy, the calculation gives -300.1 eV/f.u. For the energy of formation from the pure elements, the calculation gives -1.544 eV/atom. The calculation puts the magnetization at 13.000 μB/f.u.

=====

(2)
Entry from the Materials Project: an optimized crystal structure of Rb4MgFe8H6Se16O50 (GGA+U).

Structure (POSCAR):
```
Rb4MgFe8H6Se16O50
1.0
7.852 0.000 0.000
0.695 10.492 0.000
0.381 3.485 15.745
Rb Mg Fe H Se O
4 1 8 6 16 50
Direct
0.017 0.197 0.261
0.406 0.196 0.837
0.594 0.804 0.163
0.983 0.803 0.739
0.000 0.500 0.500
0.048 0.249 0.998
0.092 0.759 0.307
0.250 0.148 0.520
0.477 0.597 0.770
0.523 0.403 0.230
0.750 0.852 0.480
0.908 0.241 0.693
0.952 0.751 0.002
0.287 0.882 0.903
0.316 0.281 0.639
0.497 0.782 0.386
0.503 0.218 0.614
0.684 0.719 0.361
0.713 0.118 0.097
0.052 0.961 0.119
0.167 0.486 0.682
0.176 0.875 0.454
0.189 0.531 0.934
0.216 0.604 0.151
0.306 0.444 0.400
0.458 0.251 0.081
0.464 0.881 0.636
0.536 0.119 0.364
0.542 0.749 0.919
0.694 0.556 0.600
0.784 0.396 0.849
0.811 0.469 0.066
0.824 0.125 0.546
0.833 0.514 0.318
0.948 0.039 0.881
0.010 0.927 0.228
0.012 0.385 0.071
0.018 0.165 0.584
0.054 0.885 0.905
0.098 0.123 0.921
0.129 0.318 0.706
0.143 0.390 0.903
0.156 0.578 0.392
0.157 0.045 0.435
0.164 0.333 0.455
0.190 0.709 0.052
0.192 0.518 0.575
0.240 0.718 0.215
0.270 0.623 0.841
0.284 0.843 0.365
0.286 0.982 0.606
0.287 0.186 0.047
0.300 0.410 0.300
0.362 0.742 0.682
0.377 0.464 0.715
0.383 0.245 0.596
0.394 0.269 0.181
0.411 0.900 0.893
0.427 0.554 0.138
0.473 0.157 0.461
0.527 0.843 0.539
0.573 0.446 0.862
0.589 0.100 0.107
0.606 0.731 0.819
0.617 0.755 0.404
0.623 0.536 0.285
0.638 0.258 0.318
0.700 0.590 0.700
0.713 0.814 0.953
0.714 0.018 0.394
0.716 0.157 0.635
0.730 0.377 0.159
0.760 0.282 0.785
0.808 0.482 0.425
0.810 0.291 0.948
0.836 0.667 0.545
0.843 0.955 0.565
0.844 0.422 0.608
0.857 0.610 0.097
0.871 0.682 0.294
0.902 0.877 0.079
0.946 0.115 0.095
0.982 0.835 0.416
0.988 0.615 0.929
0.990 0.073 0.772
```

Results
For the uncorrected energy, the calculation gives -472.9 eV/f.u. For the energy of formation from the pure elements, the calculation gives -1.510 eV/atom. The calculation puts the magnetization at 40.171 μB/f.u.

=====

(3)
Entry from the Materials Project: an optimized crystal structure of Mn2Fe5Si8H2O24 (GGA+U).

Structure (POSCAR):
```
Mn2Fe5Si8H2O24
1.0
5.397 0.000 0.000
0.000 9.842 0.000
0.000 0.000 18.541
Mn Fe Si H O
4 10 16 4 48
Direct
0.000 0.000 0.230
0.000 0.000 0.770
0.500 0.500 0.270
0.500 0.500 0.730
0.000 0.000 0.393
0.000 0.000 0.607
0.000 0.500 0.000
0.000 0.500 0.178
0.000 0.500 0.822
0.500 0.000 0.322
0.500 0.000 0.500
0.500 0.000 0.678
0.500 0.500 0.107
0.500 0.500 0.893
0.160 0.296 0.331
0.160 0.296 0.669
0.164 0.220 0.084
0.164 0.220 0.916
0.336 0.720 0.416
0.336 0.720 0.584
0.340 0.796 0.169
0.340 0.796 0.831
0.660 0.204 0.169
0.660 0.204 0.831
0.664 0.280 0.416
0.664 0.280 0.584
0.836 0.780 0.084
0.836 0.780 0.916
0.840 0.704 0.331
0.840 0.704 0.669
0.138 0.996 0.500
0.362 0.496 0.000
0.638 0.504 0.000
0.862 0.004 0.500
0.079 0.846 0.127
0.079 0.846 0.873
0.086 0.659 0.377
0.086 0.659 0.623
0.155 0.171 0.000
0.156 0.385 0.091
0.156 0.385 0.909
0.162 0.096 0.500
0.169 0.130 0.319
0.169 0.130 0.681
0.178 0.384 0.257
0.178 0.384 0.743
0.322 0.884 0.243
0.322 0.884 0.757
0.331 0.630 0.181
0.331 0.630 0.819
0.338 0.596 0.000
0.344 0.885 0.409
0.344 0.885 0.591
0.345 0.671 0.500
0.414 0.159 0.123
0.414 0.159 0.877
0.421 0.346 0.373
0.421 0.346 0.627
0.579 0.654 0.373
0.579 0.654 0.627
0.586 0.841 0.123
0.586 0.841 0.877
0.655 0.329 0.500
0.656 0.115 0.409
0.656 0.115 0.591
0.662 0.404 0.000
0.669 0.370 0.181
0.669 0.370 0.819
0.678 0.116 0.243
0.678 0.116 0.757
0.822 0.616 0.257
0.822 0.616 0.743
0.831 0.870 0.319
0.831 0.870 0.681
0.838 0.904 0.500
0.844 0.615 0.091
0.844 0.615 0.909
0.845 0.829 0.000
0.914 0.341 0.377
0.914 0.341 0.623
0.921 0.154 0.127
0.921 0.154 0.873
```

Results
For the uncorrected energy, the calculation gives -301.6 eV/f.u. For the energy of formation from the pure elements, the calculation gives -2.515 eV/atom. The calculation puts the magnetization at 30.000 μB/f.u.